No. 1
# NpSi2Rh2

A relaxed structure of NpSi2Rh2 (r²SCAN, the Materials Project).

Output
- DFT formation energy: -1.013 eV per atom
- Total magnetic moment: 4.28 μB per formula unit
- Space-group type: I4/mmm (139)

Cell: 4.0411 4.0411 10.2211 Å, 90.00 90.00 90.00°
With the nearest neighbours (Å) after each atom.
Atoms (fractional coordinates):
1 Np 0.0000 0.0000 0.0000  8 Si 3.13, 8 Rh 3.26
2 Np 0.5000 0.5000 0.5000  8 Si 3.13, 8 Rh 3.26
3 Si 0.0000 0.0000 0.3761  4 Rh 2.40, 1 Si 2.53
4 Si 0.0000 0.0000 0.6239  4 Rh 2.40, 1 Si 2.53
5 Si 0.5000 0.5000 0.1239  4 Rh 2.40, 1 Si 2.53
6 Si 0.5000 0.5000 0.8761  4 Rh 2.40, 1 Si 2.53
7 Rh 0.0000 0.5000 0.2500  4 Si 2.40
8 Rh 0.0000 0.5000 0.7500  4 Si 2.40
9 Rh 0.5000 0.0000 0.2500  4 Si 2.40
10 Rh 0.5000 0.0000 0.7500  4 Si 2.40

No. 2
# TmNpRu2

A relaxed structure of TmNpRu2 (r²SCAN, the Materials Project).

Output
- DFT formation energy: -0.463 eV per atom
- Total magnetic moment: 3.00 μB per formula unit
- Space-group type: Fm-3m (225)

Cell: 6.7130 6.7130 6.7130 Å, 90.00 90.00 90.00°
With the nearest neighbours (Å) after each atom.
Atoms (fractional coordinates):
1 Tm 0.0000 0.0000 0.0000  8 Ru 2.91
2 Tm 0.0000 0.5000 0.5000  8 Ru 2.91
3 Tm 0.5000 0.0000 0.5000  8 Ru 2.91
4 Tm 0.5000 0.5000 0.0000  8 Ru 2.91
5 Np 0.0000 0.0000 0.5000  8 Ru 2.91
6 Np 0.0000 0.5000 0.0000  8 Ru 2.91
7 Np 0.5000 0.0000 0.0000  8 Ru 2.91
8 Np 0.5000 0.5000 0.5000  8 Ru 2.91
9 Ru 0.2500 0.2500 0.2500  4 Np 2.91, 4 Tm 2.91
10 Ru 0.2500 0.2500 0.7500  4 Tm 2.91, 4 Np 2.91
11 Ru 0.2500 0.7500 0.2500  4 Tm 2.91, 4 Np 2.91
12 Ru 0.2500 0.7500 0.7500  4 Np 2.91, 4 Tm 2.91
13 Ru 0.7500 0.2500 0.2500  4 Tm 2.91, 4 Np 2.91
14 Ru 0.7500 0.2500 0.7500  4 Np 2.91, 4 Tm 2.91
15 Ru 0.7500 0.7500 0.2500  4 Np 2.91, 4 Tm 2.91
16 Ru 0.7500 0.7500 0.7500  4 Tm 2.91, 4 Np 2.91

No. 3
# Np3S5

A relaxed structure of Np3S5 (r²SCAN, the Materials Project).

Output
- DFT formation energy: -2.098 eV per atom
- Total magnetic moment: 11.00 μB per formula unit
- Space-group type: Pnma (62)

Cell: 11.8413 8.0770 7.4776 Å, 90.00 90.00 90.00°
With the nearest neighbours (Å) after each atom.
Atoms (fractional coordinates):
1 Np 0.0052 0.2500 0.0606  7 S 2.68-2.96
2 Np 0.1764 0.0024 0.5216  8 S 2.84-3.08
3 Np 0.1764 0.4976 0.5216  8 S 2.84-3.08
4 Np 0.3236 0.5024 0.0216  8 S 2.84-3.08
5 Np 0.3236 0.9976 0.0216  8 S 2.84-3.08
6 Np 0.4948 0.7500 0.5606  7 S 2.68-2.96
7 Np 0.5052 0.2500 0.4394  7 S 2.68-2.96
8 Np 0.6764 0.0024 0.9784  8 S 2.84-3.08
9 Np 0.6764 0.4976 0.9784  8 S 2.84-3.08
10 Np 0.8236 0.5024 0.4784  8 S 2.84-3.08
11 Np 0.8236 0.9976 0.4784  8 S 2.84-3.08
12 Np 0.9948 0.7500 0.9394  7 S 2.68-2.96
13 S 0.0012 0.2500 0.4567  5 Np 2.92-2.96, 1 S 3.21
14 S 0.0969 0.5376 0.1663  4 Np 2.68-2.91
15 S 0.0969 0.9624 0.1663  4 Np 2.68-2.91
16 S 0.1881 0.2500 0.8338  5 Np 2.75-3.08
17 S 0.2125 0.7500 0.8074  5 Np 2.76-2.98
18 S 0.2875 0.2500 0.3074  5 Np 2.76-2.98
19 S 0.3119 0.7500 0.3338  5 Np 2.75-3.08
20 S 0.4031 0.0376 0.6663  4 Np 2.68-2.91
21 S 0.4031 0.4624 0.6663  4 Np 2.68-2.91
22 S 0.4988 0.7500 0.9567  5 Np 2.92-2.96, 1 S 3.21
23 S 0.5012 0.2500 0.0433  5 Np 2.92-2.96, 1 S 3.21
24 S 0.5969 0.5376 0.3337  4 Np 2.68-2.91
25 S 0.5969 0.9624 0.3337  4 Np 2.68-2.91
26 S 0.6881 0.2500 0.6662  5 Np 2.75-3.08
27 S 0.7125 0.7500 0.6926  5 Np 2.76-2.98
28 S 0.7875 0.2500 0.1926  5 Np 2.76-2.98
29 S 0.8119 0.7500 0.1662  5 Np 2.75-3.08
30 S 0.9031 0.0376 0.8337  4 Np 2.68-2.91
31 S 0.9031 0.4624 0.8337  4 Np 2.68-2.91
32 S 0.9988 0.7500 0.5433  5 Np 2.92-2.96, 1 S 3.21

- DFT formation energy of number 2 (TmNpRu2)?
  -0.463 eV per atom

- The highest DFT formation energy belongs to which entry?
  TmNpRu2